MgUO3 | Materials Project | GGA-PBE | optimized geometry; magnetic moment = 2.00 Bohr magnetons per cell; E_tot = -39.92 eV for the cell shown
1.0
3.8130 0.0000 0.0000
0.0000 3.8130 0.0000
0.0000 0.0000 3.8130
Mg U O
1 1 3
Cartesian
1.9065 1.9065 1.9065
0.0000 0.0000 0.0000
1.9065 1.9065 0.0000
1.9065 0.0000 1.9065
0.0000 1.9065 1.9065